[1]
The following is a DFT calculation (GGA-PBE) of an optimized crystal structure of KTaTiO5.

Structure (POSCAR):
```
KTaTiO5
1.0
6.482 0.000 0.000
0.000 3.827 0.000
0.000 0.000 18.968
K Ta Ti O
4 4 4 20
direct
0.223 0.250 0.195 K
0.277 0.750 0.695 K
0.723 0.250 0.305 K
0.777 0.750 0.805 K
0.228 0.250 0.892 Ta
0.272 0.750 0.392 Ta
0.728 0.250 0.608 Ta
0.772 0.750 0.108 Ta
0.181 0.250 0.534 Ti
0.319 0.750 0.034 Ti
0.681 0.250 0.966 Ti
0.819 0.750 0.466 Ti
0.036 0.250 0.618 O
0.064 0.750 0.071 O
0.147 0.750 0.509 O
0.159 0.250 0.799 O
0.238 0.750 0.920 O
0.262 0.250 0.420 O
0.341 0.750 0.299 O
0.353 0.250 0.009 O
0.436 0.250 0.571 O
0.464 0.750 0.118 O
0.536 0.250 0.882 O
0.564 0.750 0.429 O
0.647 0.750 0.991 O
0.659 0.250 0.701 O
0.738 0.750 0.580 O
0.762 0.250 0.080 O
0.841 0.750 0.201 O
0.853 0.250 0.491 O
0.936 0.250 0.929 O
0.964 0.750 0.382 O
```

Computed properties:
As for the crystal system: orthorhombic. As for the magnetic moment: 0.0 μB per formula unit. The value obtained for the MP2020-corrected energy is -8.941 eV/atom. The total energy is -8.51 eV/atom. The formation energy comes out at -3.24 eV/atom.

[2]
The following is a DFT calculation (GGA-PBE) of an optimized crystal structure of Zn7SiN6.

Structure (POSCAR):
```
Zn7SiN6
1.0
10.189 0.000 0.000
0.000 5.558 0.000
0.000 0.000 12.584
Zn Si N
28 4 24
direct
0.000 0.078 0.250 Zn
0.000 0.922 0.750 Zn
0.016 0.227 0.041 Zn
0.016 0.773 0.541 Zn
0.213 0.222 0.579 Zn
0.213 0.778 0.079 Zn
0.239 0.140 0.845 Zn
0.239 0.860 0.345 Zn
0.261 0.360 0.345 Zn
0.261 0.640 0.845 Zn
0.287 0.278 0.079 Zn
0.287 0.722 0.579 Zn
0.484 0.273 0.541 Zn
0.484 0.727 0.041 Zn
0.500 0.422 0.750 Zn
0.500 0.578 0.250 Zn
0.516 0.273 0.959 Zn
0.516 0.727 0.459 Zn
0.713 0.278 0.421 Zn
0.713 0.722 0.921 Zn
0.739 0.360 0.155 Zn
0.739 0.640 0.655 Zn
0.761 0.140 0.655 Zn
0.761 0.860 0.155 Zn
0.787 0.222 0.921 Zn
0.787 0.778 0.421 Zn
0.984 0.227 0.459 Zn
0.984 0.773 0.959 Zn
0.000 0.416 0.750 Si
0.000 0.584 0.250 Si
0.500 0.084 0.250 Si
0.500 0.916 0.750 Si
0.065 0.378 0.343 N
0.065 0.622 0.843 N
0.127 0.213 0.717 N
0.127 0.787 0.217 N
0.168 0.068 0.989 N
0.168 0.932 0.489 N
0.332 0.432 0.489 N
0.332 0.568 0.989 N
0.373 0.287 0.217 N
0.373 0.713 0.717 N
0.435 0.122 0.843 N
0.435 0.878 0.343 N
0.565 0.122 0.657 N
0.565 0.878 0.157 N
0.627 0.287 0.283 N
0.627 0.713 0.783 N
0.668 0.432 0.011 N
0.668 0.568 0.511 N
0.832 0.068 0.511 N
0.832 0.932 0.011 N
0.873 0.213 0.783 N
0.873 0.787 0.283 N
0.935 0.378 0.157 N
0.935 0.622 0.657 N
```

Computed properties:
As for the crystal system: orthorhombic. As for the magnetic moment: 0.0 μB per formula unit. The value obtained for the MP2020-corrected energy is -4.784 eV/atom. The total energy is -4.63 eV/atom. The formation energy comes out at -0.19 eV/atom.